Entry from the Materials Project: an optimized crystal structure of Li2AlCr2SbO8 (PBE with a Hubbard U).

```
Li2AlCr2SbO8
1.0
1.9905 -2.2806 5.0391
0.9918 -2.8094 -5.0819
24.6534 14.5256 -3.1361
Li Al Cr Sb O
12 6 12 6 48
direct
0.6671 0.3335 0.3659
0.6668 0.3326 0.6990
0.6665 0.3326 0.0332
0.0001 0.0004 0.0055
0.0027 0.9978 0.8361
0.9996 0.0006 0.6706
0.9974 0.9951 0.5020
0.0002 0.0008 0.3381
0.0001 0.0006 0.1685
0.3323 0.6682 0.8649
0.3337 0.6677 0.1972
0.3338 0.6687 0.5308
0.1709 0.3415 0.0952
0.6588 0.8301 0.4283
0.6586 0.8290 0.0952
0.1706 0.8291 0.7618
0.1714 0.8302 0.4283
0.1706 0.8291 0.0952
0.8303 0.1695 0.9293
0.8300 0.1700 0.5951
0.8312 0.1709 0.2617
0.3390 0.1696 0.9293
0.3386 0.1702 0.5951
0.3398 0.1709 0.2617
0.8302 0.6609 0.9293
0.8294 0.6608 0.5949
0.8309 0.6616 0.2617
0.1697 0.3397 0.7621
0.1704 0.3406 0.4288
0.6603 0.8302 0.7622
0.6673 0.3331 0.8375
0.6654 0.3312 0.5032
0.6668 0.3339 0.1695
0.3316 0.6684 0.6712
0.3355 0.6707 0.3382
0.3333 0.6665 0.0058
0.8271 0.1544 0.4667
0.8370 0.1634 0.8020
0.8356 0.1651 0.1324
0.5179 0.0350 0.8857
0.5182 0.0358 0.2180
0.5171 0.0348 0.5518
0.6674 0.3351 0.2973
0.6665 0.3342 0.9649
0.6664 0.3348 0.6307
0.9993 0.9995 0.5634
0.0098 0.9900 0.7327
0.9912 0.9823 0.4009
0.3272 0.1545 0.4668
0.0005 0.0003 0.2300
0.0000 0.9997 0.0688
0.9998 0.9991 0.8976
0.3293 0.1652 0.1324
0.3321 0.1578 0.8004
0.9654 0.4819 0.8859
0.9650 0.4815 0.5514
0.9658 0.4828 0.2180
0.5165 0.4826 0.8854
0.5156 0.4818 0.5514
0.5171 0.4832 0.2181
0.1645 0.3292 0.9697
0.1640 0.3303 0.6354
0.1654 0.3311 0.3024
0.8326 0.6654 0.4660
0.8354 0.6711 0.1325
0.8424 0.6680 0.8005
0.4821 0.5182 0.7190
0.4881 0.5257 0.3866
0.4813 0.5188 0.0543
0.0355 0.5233 0.7197
0.0379 0.5258 0.3866
0.3243 0.6756 0.7964
0.3417 0.6835 0.4619
0.3334 0.6669 0.1281
0.6695 0.8359 0.6352
0.6705 0.8356 0.9696
0.6716 0.8372 0.3019
0.0378 0.5189 0.0543
0.4767 0.9641 0.7197
0.4822 0.9645 0.3869
0.4808 0.9616 0.0543
0.1649 0.8355 0.9696
0.1655 0.8370 0.3019
0.1640 0.8360 0.6349
```

**ΔH_f (0 K)**: -57.6 kcal/mol of atoms
**Total energy after the MP2020 corrections**: -7.541 eV/atom
**E_tot**: -96.07 eV per formula unit
**Excess energy over the best structure of this formula in the dataset**: 3 meV/atom
**Crystal system**: triclinic